# 1
A plane-wave DFT calculation with GGA-PBE was carried out for crystalline La5TlS8 at its relaxed geometry.

## Properties
E_tot = -6.279 eV/atom
ΔH_f (0 K) = -2270.9 meV per atom

a = 8.874 Å, b = 8.874 Å, c = 8.734 Å
α = 90.00°, β = 90.00°, γ = 90.00°
Space group I-4 (No. 82)
Inequivalent atoms, fractional coordinates:
La1 0.000 0.000 0.000 [2 per cell]
La2 0.133 0.248 0.380 [8 per cell]
Tl1 0.000 0.500 0.750 [2 per cell]
S1 0.076 0.317 0.063 [8 per cell]
S2 0.078 0.161 0.699 [8 per cell]



# 2
A plane-wave DFT calculation with GGA-PBE was carried out for crystalline CsPbBr3 at its relaxed geometry.

## Properties
E_tot = -3.219 eV/atom
ΔH_f (0 K) = -1635.6 meV per atom

a = 8.425 Å, b = 12.011 Å, c = 8.370 Å
α = 90.00°, β = 90.00°, γ = 90.00°
Space group Pnma (No. 62)
Inequivalent atoms, fractional coordinates:
Cs1 0.032 0.250 0.008 [4 per cell]
Pb1 0.000 0.000 0.500 [4 per cell]
Br1 0.006 0.750 0.452 [4 per cell]
Br2 0.205 0.526 0.795 [8 per cell]



# 3
A plane-wave DFT calculation with GGA-PBE was carried out for crystalline Sm2Te3 at its relaxed geometry.

## Properties
E_tot = -5.185 eV/atom
ΔH_f (0 K) = -1664.9 meV per atom

a = 9.453 Å, b = 9.453 Å, c = 28.411 Å
α = 90.00°, β = 90.00°, γ = 90.00°
Space group I-42d (No. 122)
Inequivalent atoms, fractional coordinates:
Sm1 0.000 0.000 0.168 [8 per cell]
Sm2 0.119 0.750 0.625 [8 per cell]
Sm3 0.130 0.744 0.959 [16 per cell]
Te1 0.073 0.674 0.183 [16 per cell]
Te2 0.073 0.678 0.852 [16 per cell]
Te3 0.081 0.674 0.516 [16 per cell]



# 4
A plane-wave DFT calculation with GGA-PBE was carried out for crystalline BaCa2I6 at its relaxed geometry.

## Properties
E_tot = -3.296 eV/atom
ΔH_f (0 K) = -1874.1 meV per atom
ΔE to the lowest computed polymorph = 0.0432 eV/atom

a = 25.123 Å, b = 7.683 Å, c = 8.733 Å
α = 90.00°, β = 93.91°, γ = 90.00°
Space group C2/c (No. 15)
Inequivalent atoms, fractional coordinates:
Ba1 0.000 0.249 0.250 [4 per cell]
Ca1 0.173 0.270 0.629 [8 per cell]
I1 0.068 0.075 0.581 [8 per cell]
I2 0.113 0.478 0.882 [8 per cell]
I3 0.217 0.042 0.357 [8 per cell]